1.
Density functional theory data (r²SCAN) for Gd2InAg after structural relaxation.

Properties
DFT formation energy, kJ per mole of atoms: -42
E, eV per cell: -132.455

Unit cell a=3.6026 b=3.6026 c=7.9126 alpha=90.00 beta=90.00 gamma=90.00
With the nearest neighbours (Å) after each atom.
Fractional positions:
Gd 0.0000 0.0000 0.2395  4 Ag 3.18, 4 In 3.28
Gd 0.0000 0.0000 0.7605  4 Ag 3.18, 4 In 3.28
In 0.5000 0.5000 0.5000  8 Gd 3.28, 4 In 3.60
Ag 0.5000 0.5000 0.0000  8 Gd 3.18



2.
Density functional theory data (r²SCAN) for CdHgSe2 after structural relaxation.

Properties
DFT formation energy, kJ per mole of atoms: -47
E, eV per cell: -100.054

Unit cell a=7.5492 b=7.5492 c=7.5492 alpha=33.59 beta=33.59 gamma=33.59
With the nearest neighbours (Å) after each atom.
Fractional positions:
Cd 0.0000 0.0000 0.0000  4 Se 2.66
Hg 0.4995 0.4995 0.4995  4 Se 2.68
Se 0.3739 0.3739 0.3739  3 Cd 2.66, 1 Hg 2.68
Se 0.8753 0.8753 0.8753  1 Cd 2.66, 3 Hg 2.68



3.
Density functional theory data (r²SCAN) for NdSi2Ru2 after structural relaxation.

Properties
DFT formation energy, kJ per mole of atoms: -91
E, eV per cell: -102.545

Unit cell a=5.7273 b=5.7273 c=5.7273 alpha=136.94 beta=136.94 gamma=62.53
With the nearest neighbours (Å) after each atom.
Fractional positions:
Nd 0.0000 0.0000 0.0000  8 Ru 3.23, 10 Si 3.26-3.55
Si 0.3630 0.3630 0.0000  4 Ru 2.38
Si 0.6370 0.6370 0.0000  4 Ru 2.38
Ru 0.2500 0.7500 0.5000  4 Si 2.38
Ru 0.7500 0.2500 0.5000  4 Si 2.38



4.
Density functional theory data (r²SCAN) for Tb2C after structural relaxation.

Properties
DFT formation energy, kJ per mole of atoms: -40
E, eV per cell: -73.652

Unit cell a=6.5260 b=6.5260 c=6.5260 alpha=32.14 beta=32.14 gamma=32.14
With the nearest neighbours (Å) after each atom.
Fractional positions:
Tb 0.2395 0.2395 0.2395  3 C 2.48
Tb 0.7605 0.7605 0.7605  3 C 2.48
C 0.5000 0.5000 0.5000  6 Tb 2.48



5.
Density functional theory data (r²SCAN) for Gd3AlC after structural relaxation.

Properties
DFT formation energy, kJ per mole of atoms: -37
E, eV per cell: -148.805

Unit cell a=4.9404 b=4.9404 c=4.9404 alpha=90.00 beta=90.00 gamma=90.00
With the nearest neighbours (Å) after each atom.
Fractional positions:
Gd 0.0000 0.0000 0.5000  2 C 2.47
Gd 0.0000 0.5000 0.0000  2 C 2.47
Gd 0.5000 0.0000 0.0000  2 C 2.47
Al 0.5000 0.5000 0.5000  12 Gd 3.49
C 0.0000 0.0000 0.0000  6 Gd 2.47



6.
Density functional theory data (r²SCAN) for Nb3AlC2 after structural relaxation.

Properties
DFT formation energy, kJ per mole of atoms: -56
E, eV per cell: -208.625

Unit cell a=3.1333 b=3.1333 c=19.2016 alpha=90.00 beta=90.00 gamma=120.00
With the nearest neighbours (Å) after each atom.
Fractional positions:
Nb 0.0000 0.0000 0.0000  6 C 2.25
Nb 0.0000 0.0000 0.5000  6 C 2.25
Nb 0.3333 0.6667 0.1338  3 C 2.19
Nb 0.3333 0.6667 0.3662  3 C 2.19
Nb 0.6667 0.3333 0.6338  3 C 2.19
Nb 0.6667 0.3333 0.8662  3 C 2.19
Al 0.0000 0.0000 0.2500  6 Nb 2.87, 6 Al 3.13
Al 0.0000 0.0000 0.7500  6 Nb 2.87, 6 Al 3.13
C 0.3333 0.6667 0.5695  6 Nb 2.19-2.25
C 0.3333 0.6667 0.9305  6 Nb 2.19-2.25
C 0.6667 0.3333 0.0695  6 Nb 2.19-2.25
C 0.6667 0.3333 0.4305  6 Nb 2.19-2.25